(1)
A plane-wave DFT calculation with PBE was carried out for a relaxed Na15Mg7Nb5Si9S9O72 crystal.

Cell lengths 9.002, 9.025, 22.563 Å; angles 90.18, 90.23, 119.91 degrees
Space group P1 (No. 1)
One atom of each set of equivalent atoms:
Na 0.000 0.000 0.000 [1 per cell]
Na 0.000 0.329 0.499 [1 per cell]
Na 0.023 0.667 0.409 [1 per cell]
Na 0.055 0.720 0.914 [1 per cell]
Na 0.059 0.366 0.831 [1 per cell]
Na 0.060 0.018 0.337 [1 per cell]
Na 0.340 0.655 0.324 [1 per cell]
Na 0.362 0.328 0.750 [1 per cell]
Na 0.390 0.374 0.242 [1 per cell]
Na 0.403 0.724 0.007 [1 per cell]
Na 0.710 0.021 0.079 [1 per cell]
Na 0.714 0.040 0.585 [1 per cell]
Na 0.724 0.675 0.843 [1 per cell]
Na 0.728 0.340 0.006 [1 per cell]
Na 0.738 0.727 0.494 [1 per cell]
Mg 0.037 0.673 0.273 [1 per cell]
Mg 0.054 0.705 0.771 [1 per cell]
Mg 0.377 0.347 0.606 [1 per cell]
Mg 0.380 0.366 0.105 [1 per cell]
Mg 0.717 0.020 0.939 [1 per cell]
Mg 0.724 0.032 0.440 [1 per cell]
Mg 0.726 0.031 0.736 [1 per cell]
Nb 0.042 0.694 0.567 [1 per cell]
Nb 0.056 0.689 0.066 [1 per cell]
Nb 0.369 0.345 0.907 [1 per cell]
Nb 0.384 0.350 0.400 [1 per cell]
Nb 0.718 0.014 0.233 [1 per cell]
Si 0.003 0.321 0.342 [1 per cell]
Si 0.009 0.022 0.837 [1 per cell]
Si 0.083 0.349 0.008 [1 per cell]
Si 0.089 0.070 0.508 [1 per cell]
Si 0.340 0.685 0.177 [1 per cell]
Si 0.385 0.067 0.011 [1 per cell]
Si 0.663 0.344 0.509 [1 per cell]
Si 0.669 0.648 0.005 [1 per cell]
Si 0.716 0.728 0.341 [1 per cell]
S 0.048 0.401 0.672 [1 per cell]
S 0.049 0.981 0.173 [1 per cell]
S 0.343 0.983 0.673 [1 per cell]
S 0.376 0.644 0.506 [1 per cell]
S 0.418 0.729 0.836 [1 per cell]
S 0.430 0.028 0.338 [1 per cell]
S 0.707 0.314 0.836 [1 per cell]
S 0.749 0.689 0.672 [1 per cell]
S 0.753 0.395 0.172 [1 per cell]
O 0.022 0.874 0.119 [1 per cell]
O 0.026 0.851 0.830 [1 per cell]
O 0.038 0.499 0.618 [1 per cell]
O 0.047 0.515 0.335 [1 per cell]
O 0.055 0.893 0.227 [1 per cell]
O 0.059 0.500 0.726 [1 per cell]
O 0.078 0.875 0.515 [1 per cell]
O 0.082 0.536 0.012 [1 per cell]
O 0.166 0.304 0.061 [1 per cell]
O 0.176 0.202 0.560 [1 per cell]
O 0.197 0.325 0.344 [1 per cell]
O 0.198 0.151 0.169 [1 per cell]
O 0.198 0.880 0.015 [1 per cell]
O 0.205 0.388 0.668 [1 per cell]
O 0.209 0.649 0.511 [1 per cell]
O 0.210 0.205 0.844 [1 per cell]
O 0.211 0.157 0.446 [1 per cell]
O 0.211 0.394 0.946 [1 per cell]
O 0.236 0.688 0.830 [1 per cell]
O 0.236 0.709 0.117 [1 per cell]
O 0.239 0.684 0.235 [1 per cell]
O 0.241 0.896 0.725 [1 per cell]
O 0.245 0.872 0.618 [1 per cell]
O 0.252 0.885 0.332 [1 per cell]
O 0.339 0.156 0.951 [1 per cell]
O 0.343 0.534 0.451 [1 per cell]
O 0.356 0.152 0.668 [1 per cell]
O 0.368 0.525 0.169 [1 per cell]
O 0.405 0.568 0.558 [1 per cell]
O 0.411 0.555 0.839 [1 per cell]
O 0.417 0.191 0.341 [1 per cell]
O 0.426 0.190 0.065 [1 per cell]
O 0.490 0.823 0.892 [1 per cell]
O 0.509 0.004 0.391 [1 per cell]
O 0.513 0.994 0.673 [1 per cell]
O 0.519 0.817 0.497 [1 per cell]
O 0.525 0.818 0.784 [1 per cell]
O 0.532 0.050 0.283 [1 per cell]
O 0.533 0.025 0.994 [1 per cell]
O 0.533 0.540 0.344 [1 per cell]
O 0.534 0.873 0.179 [1 per cell]
O 0.540 0.560 0.058 [1 per cell]
O 0.558 0.347 0.839 [1 per cell]
O 0.563 0.348 0.565 [1 per cell]
O 0.579 0.390 0.449 [1 per cell]
O 0.579 0.537 0.666 [1 per cell]
O 0.581 0.369 0.167 [1 per cell]
O 0.589 0.527 0.942 [1 per cell]
O 0.682 0.209 0.783 [1 per cell]
O 0.682 0.829 0.282 [1 per cell]
O 0.698 0.188 0.501 [1 per cell]
O 0.703 0.840 0.997 [1 per cell]
O 0.725 0.236 0.891 [1 per cell]
O 0.729 0.835 0.400 [1 per cell]
O 0.741 0.849 0.672 [1 per cell]
O 0.746 0.224 0.175 [1 per cell]
O 0.837 0.671 0.724 [1 per cell]
O 0.840 0.500 0.224 [1 per cell]
O 0.857 0.478 0.116 [1 per cell]
O 0.859 0.656 0.014 [1 per cell]
O 0.862 0.704 0.616 [1 per cell]
O 0.866 0.531 0.514 [1 per cell]
O 0.867 0.488 0.831 [1 per cell]
O 0.885 0.996 0.175 [1 per cell]
O 0.887 0.720 0.330 [1 per cell]
O 0.888 0.204 0.995 [1 per cell]
O 0.889 0.233 0.670 [1 per cell]
O 0.891 0.021 0.501 [1 per cell]
O 0.901 0.187 0.284 [1 per cell]
O 0.904 0.000 0.898 [1 per cell]
O 0.906 0.237 0.402 [1 per cell]
O 0.929 0.075 0.782 [1 per cell]

Energy with MP2020 corrections   -7.04 eV per atom

---

(2)
A plane-wave DFT calculation with PBE was carried out for a relaxed GaSi3 crystal.

Cell lengths 3.711, 3.711, 9.240 Å; angles 90.00, 90.00, 90.00 degrees
Space group I4/mmm (No. 139)
One atom of each set of equivalent atoms:
Ga 0.000 0.000 0.000 [2 per cell]
Si 0.000 0.000 0.500 [2 per cell]
Si 0.000 0.500 0.250 [4 per cell]

Energy with MP2020 corrections   -4.31 eV per atom

---

(3)
A plane-wave DFT calculation with PBE was carried out for a relaxed NiP2W crystal.

Cell lengths 3.3677, 3.3677, 11.2728 Å; angles 90.00, 90.00, 120.00 degrees
Space group P6_3/mmc (No. 194)
One atom of each set of equivalent atoms:
Ni 0.0000 0.0000 0.2500 [2 per cell]
P 0.3333 0.6667 0.1379 [4 per cell]
W 0.0000 0.0000 0.0000 [2 per cell]

---

(4)
A plane-wave DFT calculation with PBE was carried out for a relaxed K3Nd crystal.

Cell lengths 8.6619, 8.6619, 7.1742 Å; angles 90.00, 90.00, 120.00 degrees
Space group P6_3/mmc (No. 194)
One atom of each set of equivalent atoms:
K 0.1710 0.3420 0.2500 [6 per cell]
Nd 0.3333 0.6667 0.7500 [2 per cell]

---

(5)
A plane-wave DFT calculation with PBE was carried out for a relaxed Y3GeO8 crystal.

Cell lengths 5.442, 10.379, 6.095 Å; angles 90.00, 105.13, 90.00 degrees
Space group P2_1/m (No. 11)
One atom of each set of equivalent atoms:
Y 0.186 0.044 0.300 [4 per cell]
Y 0.286 0.250 0.810 [2 per cell]
Ge 0.306 0.750 0.519 [2 per cell]
O 0.042 0.631 0.467 [4 per cell]
O 0.102 0.250 0.116 [2 per cell]
O 0.204 0.032 0.934 [4 per cell]
O 0.470 0.750 0.817 [2 per cell]
O 0.488 0.626 0.396 [4 per cell]

Energy with MP2020 corrections   -8.16 eV per atom

---

no.,calculated formation energy (eV/atom)
1,-2.564
2,0.515
3,-0.284
4,0.541
5,-2.863